DFT (PBE with a Hubbard U) results for a geometry-optimized SrNdHfMnO6 structure.

Cell: 5.7094 5.7094 5.7094 Å, 60.00 60.00 60.00°
With the nearest neighbours (Å) after each atom.
Positions (direct):
1 Sr 0.0000 0.0000 0.0000  12 O 2.85
2 Nd 0.5000 0.5000 0.5000  12 O 2.85
3 Hf 0.7500 0.7500 0.7500  6 O 2.04
4 Mn 0.2500 0.2500 0.2500  6 O 2.00
5 O 0.0027 0.0027 0.4973  1 Mn 2.00, 1 Hf 2.04
6 O 0.0027 0.4973 0.0027  1 Mn 2.00, 1 Hf 2.04
7 O 0.0027 0.4973 0.4973  1 Mn 2.00, 1 Hf 2.04
8 O 0.4973 0.0027 0.0027  1 Mn 2.00, 1 Hf 2.04
9 O 0.4973 0.0027 0.4973  1 Mn 2.00, 1 Hf 2.04
10 O 0.4973 0.4973 0.0027  1 Mn 2.00, 1 Hf 2.04

---

DFT (PBE with a Hubbard U) results for a geometry-optimized NiPC5O2 structure.

Cell: 5.9998 14.9930 10.9603 Å, 90.00 120.42 90.00°
With the nearest neighbours (Å) after each atom.
Positions (direct):
1 Ni 0.2217 0.1126 0.2997  1 C 1.98, 2 O 1.99-2.00
2 Ni 0.2217 0.3874 0.7997  1 C 1.98, 2 O 1.99-2.00
3 Ni 0.7783 0.6126 0.2003  1 C 1.98, 2 O 1.99-2.00
4 Ni 0.7783 0.8874 0.7003  1 C 1.98, 2 O 1.99-2.00
5 P 0.0321 0.2091 0.6987  3 C 1.81-1.90
6 P 0.0321 0.2909 0.1987  3 C 1.81-1.90
7 P 0.9679 0.7091 0.8013  3 C 1.81-1.90
8 P 0.9679 0.7909 0.3013  3 C 1.81-1.90
9 C 0.0082 0.6752 0.3810  1 C 1.35
10 C 0.0082 0.8248 0.8810  1 C 1.35
11 C 0.1239 0.2303 0.0812  2 C 1.35-1.36
12 C 0.1239 0.2697 0.5812  2 C 1.35-1.36
13 C 0.2100 0.2416 0.9889  2 C 1.26-1.36
14 C 0.2100 0.2584 0.4889  2 C 1.26-1.36
15 C 0.2243 0.2500 0.3787  1 C 1.26
16 C 0.2243 0.2500 0.8787  1 C 1.26
17 C 0.3750 0.5220 0.9900  2 O 1.27
18 C 0.3750 0.9780 0.4900  2 O 1.27
19 C 0.6250 0.0220 0.5100  2 O 1.27
20 C 0.6250 0.4780 0.0100  2 O 1.27
21 C 0.7757 0.7500 0.1213  1 C 1.26
22 C 0.7757 0.7500 0.6213  1 C 1.26
23 C 0.7900 0.7416 0.5111  2 C 1.26-1.36
24 C 0.7900 0.7584 0.0111  2 C 1.26-1.36
25 C 0.8761 0.7303 0.4188  2 C 1.35-1.36
26 C 0.8761 0.7697 0.9188  2 C 1.35-1.36
27 C 0.9918 0.1752 0.1190  1 C 1.35
28 C 0.9918 0.3248 0.6190  1 C 1.35
29 O 0.1619 0.0095 0.3934  1 C 1.27
30 O 0.1619 0.4905 0.8934  1 C 1.27
31 O 0.4028 0.5866 0.0712  1 C 1.27
32 O 0.4028 0.9134 0.5712  1 C 1.27
33 O 0.5972 0.0866 0.4288  1 C 1.27
34 O 0.5972 0.4134 0.9288  1 C 1.27
35 O 0.8381 0.5095 0.1066  1 C 1.27
36 O 0.8381 0.9905 0.6066  1 C 1.27

Results
ΔE to the lowest computed polymorph = 0.0 meV/atom

---

DFT (PBE with a Hubbard U) results for a geometry-optimized Li2Ni3P4O14 structure.

Cell: 6.3836 7.2658 13.1042 Å, 90.00 94.68 90.00°
With the nearest neighbours (Å) after each atom.
Positions (direct):
1 Li 0.0378 0.0000 0.0290  3 O 2.03-2.07
2 Li 0.4315 0.5640 0.6003  2 O 2.04-2.11
3 Li 0.5685 0.0640 0.3997  2 O 2.04-2.11
4 Li 0.9622 0.5000 0.9710  3 O 2.03-2.07
5 Ni 0.0784 0.2011 0.3986  4 O 1.94-2.05
6 Ni 0.2230 0.1971 0.7249  4 O 1.93-2.03
7 Ni 0.3147 0.2976 0.0977  5 O 1.93-2.09
8 Ni 0.6853 0.7976 0.9023  5 O 1.93-2.09
9 Ni 0.7770 0.6971 0.2751  4 O 1.93-2.03
10 Ni 0.9216 0.7011 0.6014  4 O 1.94-2.05
11 P 0.1290 0.7956 0.4210  4 O 1.54-1.62
12 P 0.1456 0.8239 0.8319  4 O 1.51-1.65
13 P 0.3592 0.5139 0.3065  4 O 1.51-1.66
14 P 0.4180 0.4986 0.8858  4 O 1.52-1.68
15 P 0.5820 0.9986 0.1142  4 O 1.52-1.68
16 P 0.6408 0.0139 0.6935  4 O 1.51-1.66
17 P 0.8544 0.3239 0.1681  4 O 1.51-1.65
18 P 0.8710 0.2956 0.5790  4 O 1.54-1.62
19 O 0.0047 0.2551 0.0896  1 P 1.55
20 O 0.1045 0.7524 0.7239  1 P 1.51
21 O 0.1092 0.3292 0.5952  1 P 1.54
22 O 0.1610 0.6518 0.3286  2 P 1.62-1.66
23 O 0.1805 0.0306 0.8416  1 P 1.52
24 O 0.1867 0.6982 0.5235  1 P 1.54
25 O 0.2570 0.9716 0.4059  1 P 1.54
26 O 0.2726 0.4252 0.9634  1 P 1.53
27 O 0.3280 0.3309 0.3620  1 P 1.54
28 O 0.3392 0.5045 0.1908  1 P 1.51
29 O 0.3478 0.0150 0.0787  1 P 1.53
30 O 0.3682 0.4206 0.7791  1 P 1.52
31 O 0.3683 0.7253 0.8758  2 P 1.65-1.68
32 O 0.4449 0.1095 0.6456  1 P 1.52
33 O 0.5551 0.6095 0.3544  1 P 1.52
34 O 0.6317 0.2253 0.1242  2 P 1.65-1.68
35 O 0.6318 0.9206 0.2209  1 P 1.52
36 O 0.6522 0.5150 0.9213  1 P 1.53
37 O 0.6608 0.0045 0.8092  1 P 1.51
38 O 0.6720 0.8309 0.6380  1 P 1.54
39 O 0.7274 0.9252 0.0366  1 P 1.53
40 O 0.7430 0.4716 0.5941  1 P 1.54
41 O 0.8133 0.1982 0.4765  1 P 1.54
42 O 0.8195 0.5306 0.1584  1 P 1.52
43 O 0.8390 0.1518 0.6714  2 P 1.62-1.66
44 O 0.8908 0.8292 0.4048  1 P 1.54
45 O 0.8955 0.2524 0.2761  1 P 1.51
46 O 0.9953 0.7551 0.9104  1 P 1.55

Results
ΔE to the lowest computed polymorph = 86.1 meV/atom

---

DFT (PBE with a Hubbard U) results for a geometry-optimized Li3Mn4O8 structure.

Cell: 6.1901 6.1901 6.1901 Å, 56.68 56.68 56.68°
With the nearest neighbours (Å) after each atom.
Positions (direct):
1 Li 0.0000 0.0000 0.0000  6 O 2.09, 2 Li 2.21
2 Li 0.1421 0.1421 0.1421  4 O 1.91-2.11
3 Li 0.8579 0.8579 0.8579  4 O 1.91-2.11
4 Mn 0.0000 0.5000 0.5000  6 O 1.97-2.00
5 Mn 0.5000 0.0000 0.5000  6 O 1.97-2.00
6 Mn 0.5000 0.5000 0.0000  6 O 1.97-2.00
7 Mn 0.5000 0.5000 0.5000  6 O 2.20
8 O 0.2450 0.2450 0.7185  3 Mn 1.97-2.20, 2 Li 2.09-2.11
9 O 0.2450 0.7185 0.2450  3 Mn 1.97-2.20, 2 Li 2.09-2.11
10 O 0.2653 0.2653 0.2653  1 Li 1.91, 3 Mn 2.00
11 O 0.2815 0.7550 0.7550  3 Mn 1.97-2.20, 2 Li 2.09-2.11
12 O 0.7185 0.2450 0.2450  3 Mn 1.97-2.20, 2 Li 2.09-2.11
13 O 0.7347 0.7347 0.7347  1 Li 1.91, 3 Mn 2.00
14 O 0.7550 0.2815 0.7550  3 Mn 1.97-2.20, 2 Li 2.09-2.11
15 O 0.7550 0.7550 0.2815  3 Mn 1.97-2.20, 2 Li 2.09-2.11

Results
ΔE to the lowest computed polymorph = 45.0 meV/atom

---

Magnetization values, unit μB/cell, following the record order: 4.0 8.0 12.0 15.0.
Energy of formation from the pure elements values, unit eV/f.u., following the record order: -32.0 2.5 -52.8 -30.8.